*1*
The following is a GGA-PBE calculation of an optimized crystal structure of Y6O5F8, from Materials Project. Values from VASP.

**Calculated volume**: 13.59 Å³/atom

Cell and atoms, written as Quantum ESPRESSO input:
```
&SYSTEM
  ibrav = 0, nat = 76, ntyp = 3
/
ATOMIC_SPECIES
Y 88.91 Y.upf
O 16.00 O.upf
F 19.00 F.upf
CELL_PARAMETERS angstrom
5.4874 0.0000 0.0000
0.0000 5.6138 0.0000
-0.0617 0.0000 33.5369
ATOMIC_POSITIONS crystal
Y 0.2023 0.2226 0.4176
Y 0.2023 0.2774 0.9176
Y 0.2032 0.2279 0.0821
Y 0.2032 0.2721 0.5821
Y 0.2077 0.7132 0.6642
Y 0.2077 0.7868 0.1642
Y 0.2104 0.7482 0.5000
Y 0.2104 0.7518 0.0000
Y 0.2114 0.7388 0.8359
Y 0.2114 0.7612 0.3359
Y 0.2226 0.2135 0.2507
Y 0.2226 0.2865 0.7507
Y 0.7774 0.7135 0.2493
Y 0.7774 0.7865 0.7493
Y 0.7886 0.2388 0.6641
Y 0.7886 0.2612 0.1641
Y 0.7896 0.2482 0.0000
Y 0.7896 0.2518 0.5000
Y 0.7923 0.2132 0.8358
Y 0.7923 0.2868 0.3358
Y 0.7968 0.7279 0.4179
Y 0.7968 0.7721 0.9179
Y 0.7977 0.7226 0.0824
Y 0.7977 0.7774 0.5824
O 0.0154 0.0234 0.5419
O 0.0154 0.4766 0.0419
O 0.0158 0.0243 0.9582
O 0.0158 0.4757 0.4582
O 0.0301 0.5069 0.1275
O 0.0301 0.9931 0.6275
O 0.0311 0.5068 0.3748
O 0.0311 0.9932 0.8748
O 0.0362 0.0078 0.7895
O 0.0362 0.4922 0.2895
O 0.9638 0.5078 0.7105
O 0.9638 0.9922 0.2105
O 0.9689 0.0068 0.1252
O 0.9689 0.4932 0.6252
O 0.9699 0.0069 0.3725
O 0.9699 0.4931 0.8725
O 0.9842 0.5243 0.5418
O 0.9842 0.9757 0.0418
O 0.9846 0.5234 0.9581
O 0.9846 0.9766 0.4581
F 0.0478 0.0081 0.7083
F 0.0478 0.4919 0.2083
F 0.3940 0.6540 0.7512
F 0.3940 0.8460 0.2512
F 0.4084 0.1321 0.3151
F 0.4084 0.1421 0.1837
F 0.4084 0.3579 0.6837
F 0.4084 0.3679 0.8151
F 0.4432 0.6188 0.8894
F 0.4432 0.8812 0.3894
F 0.4462 0.6135 0.6113
F 0.4462 0.8865 0.1113
F 0.4733 0.0818 0.0365
F 0.4733 0.4182 0.5365
F 0.4748 0.0819 0.4634
F 0.4748 0.4181 0.9634
F 0.5252 0.5819 0.0366
F 0.5252 0.9181 0.5366
F 0.5267 0.5818 0.4635
F 0.5267 0.9182 0.9635
F 0.5538 0.1135 0.8887
F 0.5538 0.3865 0.3887
F 0.5568 0.1188 0.6106
F 0.5568 0.3812 0.1106
F 0.5916 0.6321 0.1849
F 0.5916 0.6421 0.3163
F 0.5916 0.8579 0.8163
F 0.5916 0.8679 0.6849
F 0.6060 0.1540 0.7488
F 0.6060 0.3460 0.2488
F 0.9522 0.5081 0.7917
F 0.9522 0.9919 0.2917
```

***

*2*
The following is a GGA-PBE calculation of an optimized crystal structure of Y6O5F8, from Materials Project. Values from VASP.

**Calculated volume**: 14.05 Å³/atom

Cell and atoms, written as Quantum ESPRESSO input:
```
&SYSTEM
  ibrav = 0, nat = 19, ntyp = 3
/
ATOMIC_SPECIES
Y 88.91 Y.upf
O 16.00 O.upf
F 19.00 F.upf
CELL_PARAMETERS angstrom
2.7591 -8.7572 0.0000
2.7591 8.7572 0.0000
-0.0102 0.0000 5.5253
ATOMIC_POSITIONS crystal
Y 0.0576 0.4084 0.7116
Y 0.2300 0.2300 0.2872
Y 0.4113 0.0866 0.7019
Y 0.5916 0.9424 0.2884
Y 0.7700 0.7700 0.7128
Y 0.9134 0.5887 0.2981
O 0.0826 0.9174 0.5000
O 0.2519 0.7481 0.5000
O 0.5726 0.4274 0.5000
O 0.7415 0.2585 0.5000
O 0.9118 0.0882 0.5000
F 0.0620 0.9380 0.0000
F 0.2049 0.7951 0.0000
F 0.3466 0.6534 0.0000
F 0.4123 0.5877 0.5000
F 0.4853 0.5147 0.0000
F 0.6273 0.3727 0.0000
F 0.7697 0.2303 0.0000
F 0.9163 0.0837 0.0000
```

***

*3*
The following is a GGA-PBE calculation of an optimized crystal structure of Y6O5F8, from Materials Project. Values from VASP.

**Calculated volume**: 13.64 Å³/atom

Cell and atoms, written as Quantum ESPRESSO input:
```
&SYSTEM
  ibrav = 0, nat = 19, ntyp = 3
/
ATOMIC_SPECIES
Y 88.91 Y.upf
O 16.00 O.upf
F 19.00 F.upf
CELL_PARAMETERS angstrom
5.5168 0.0000 0.0000
0.0734 5.5773 0.0000
0.2337 2.2686 8.4225
ATOMIC_POSITIONS crystal
Y 0.0000 0.0000 0.0000
Y 0.0038 0.2670 0.3699
Y 0.5671 0.4650 0.0338
Y 0.5711 0.1599 0.6925
Y 0.5774 0.7976 0.3500
Y 0.9777 0.6485 0.6863
O 0.7557 0.8056 0.8653
O 0.7611 0.9758 0.5264
O 0.7675 0.1201 0.1894
O 0.7717 0.4857 0.5137
O 0.7965 0.3156 0.8525
F 0.2259 0.9330 0.7799
F 0.2276 0.2209 0.1370
F 0.2286 0.3685 0.5723
F 0.2324 0.8995 0.4583
F 0.3084 0.4297 0.8424
F 0.3667 0.8082 0.0862
F 0.4207 0.4389 0.3061
F 0.8680 0.6270 0.1850
```

***

Energies relative to the most stable structure are *1* 0.0; *2* 5.1; *3* 3.8, reported in kJ/mol of atoms.

***

*1*
The following is a GGA-PBE calculation of an optimized crystal structure of PrZr3F15, from Materials Project. Values from VASP.

**Calculated volume**: 14.51 Å³/atom

Cell and atoms, written as Quantum ESPRESSO input:
```
&SYSTEM
  ibrav = 0, nat = 38, ntyp = 3
/
ATOMIC_SPECIES
Pr 140.91 Pr.upf
Zr 91.22 Zr.upf
F 19.00 F.upf
CELL_PARAMETERS angstrom
5.3805 -6.4091 0.0000
5.3805 6.4091 0.0000
-2.3363 0.0000 7.9929
ATOMIC_POSITIONS crystal
Pr 0.1762 0.8238 0.7500
Pr 0.8238 0.1762 0.2500
Zr 0.2480 0.7520 0.2500
Zr 0.2580 0.3240 0.6761
Zr 0.3240 0.2580 0.1761
Zr 0.6760 0.7420 0.8239
Zr 0.7420 0.6760 0.3239
Zr 0.7520 0.2480 0.7500
F 0.0023 0.2748 0.7778
F 0.0532 0.2550 0.4777
F 0.0724 0.1902 0.1500
F 0.1581 0.5317 0.6851
F 0.1902 0.0724 0.6500
F 0.2263 0.7163 0.9996
F 0.2296 0.4960 0.2240
F 0.2550 0.0532 0.9777
F 0.2748 0.0023 0.2778
F 0.2837 0.7737 0.5004
F 0.3143 0.3484 0.9449
F 0.3484 0.3143 0.4449
F 0.4665 0.5335 0.7500
F 0.4683 0.8419 0.8149
F 0.4960 0.2296 0.7240
F 0.5040 0.7704 0.2760
F 0.5317 0.1581 0.1851
F 0.5335 0.4665 0.2500
F 0.6516 0.6857 0.5551
F 0.6857 0.6516 0.0551
F 0.7163 0.2263 0.4996
F 0.7252 0.9977 0.7222
F 0.7450 0.9468 0.0223
F 0.7704 0.5040 0.7760
F 0.7737 0.2837 0.0004
F 0.8098 0.9276 0.3500
F 0.8419 0.4683 0.3149
F 0.9276 0.8098 0.8500
F 0.9468 0.7450 0.5223
F 0.9977 0.7252 0.2222
```

***

*2*
The following is a GGA-PBE calculation of an optimized crystal structure of PrZr3F15, from Materials Project. Values from VASP.

**Calculated volume**: 14.86 Å³/atom

Cell and atoms, written as Quantum ESPRESSO input:
```
&SYSTEM
  ibrav = 0, nat = 19, ntyp = 3
/
ATOMIC_SPECIES
Pr 140.91 Pr.upf
Zr 91.22 Zr.upf
F 19.00 F.upf
CELL_PARAMETERS angstrom
6.2610 3.6148 2.0788
-6.2610 3.6148 2.0788
0.0000 -7.2296 2.0788
ATOMIC_POSITIONS crystal
Pr 0.0000 0.0000 0.0000
Zr 0.3613 0.3613 0.7924
Zr 0.3613 0.7924 0.3613
Zr 0.7924 0.3613 0.3613
F 0.1023 0.1023 0.7624
F 0.1023 0.7624 0.1023
F 0.1048 0.4349 0.6487
F 0.1048 0.6487 0.4349
F 0.1849 0.1849 0.4222
F 0.1849 0.4222 0.1849
F 0.4222 0.1849 0.1849
F 0.4349 0.1048 0.6487
F 0.4349 0.6487 0.1048
F 0.6433 0.6433 0.8657
F 0.6433 0.8657 0.6433
F 0.6487 0.1048 0.4349
F 0.6487 0.4349 0.1048
F 0.7624 0.1023 0.1023
F 0.8657 0.6433 0.6433
```

***

Energies relative to the most stable structure are *1* 0.5; *2* 0.0, reported in kJ/mol of atoms.

***

*1*
The following is a GGA-PBE calculation of an optimized crystal structure of Rb3RuF12, from Materials Project. Values from VASP.

**Calculated volume**: 20.99 Å³/atom

Cell and atoms, written as Quantum ESPRESSO input:
```
&SYSTEM
  ibrav = 0, nat = 16, ntyp = 3
/
ATOMIC_SPECIES
Rb 85.47 Rb.upf
Ru 101.07 Ru.upf
F 19.00 F.upf
CELL_PARAMETERS angstrom
3.5505 -7.5484 0.0000
3.5505 7.5484 0.0000
-0.6959 0.0000 6.2646
ATOMIC_POSITIONS crystal
Rb 0.0000 0.0000 0.0000
Rb 0.0000 0.5000 0.5000
Rb 0.5000 0.0000 0.5000
Ru 0.5000 0.5000 0.5000
F 0.0746 0.2449 0.6360
F 0.1146 0.4031 0.8748
F 0.2449 0.0746 0.6360
F 0.3033 0.4812 0.3118
F 0.4031 0.1146 0.8748
F 0.4812 0.3033 0.3118
F 0.5188 0.6967 0.6882
F 0.5969 0.8854 0.1252
F 0.6967 0.5188 0.6882
F 0.7551 0.9254 0.3640
F 0.8854 0.5969 0.1252
F 0.9254 0.7551 0.3640
```

***

*2*
The following is a GGA-PBE calculation of an optimized crystal structure of Rb3RuF12, from Materials Project. Values from VASP.

**Calculated volume**: 21.32 Å³/atom

Cell and atoms, written as Quantum ESPRESSO input:
```
&SYSTEM
  ibrav = 0, nat = 16, ntyp = 3
/
ATOMIC_SPECIES
Rb 85.47 Rb.upf
Ru 101.07 Ru.upf
F 19.00 F.upf
CELL_PARAMETERS angstrom
3.5527 -7.1511 0.0000
3.5527 7.1511 0.0000
-3.1419 0.0000 6.7129
ATOMIC_POSITIONS crystal
Rb 0.0000 0.0000 0.0000
Rb 0.0000 0.5000 0.5000
Rb 0.5000 0.0000 0.5000
Ru 0.5000 0.5000 0.5000
F 0.0318 0.6589 0.2040
F 0.1192 0.2483 0.7397
F 0.2483 0.1192 0.7397
F 0.2685 0.4584 0.3121
F 0.3411 0.9682 0.7960
F 0.4584 0.2685 0.3121
F 0.5416 0.7315 0.6879
F 0.6589 0.0318 0.2040
F 0.7315 0.5416 0.6879
F 0.7517 0.8808 0.2603
F 0.8808 0.7517 0.2603
F 0.9682 0.3411 0.7960
```

***

Energies relative to the most stable structure are *1* 1.1; *2* 0.0, reported in kJ/mol of atoms.